CeHg | PBE | optimized geometry

The structure in CIF format:
```
data_CeHg
_chemical_formula_sum 'Ce1 Hg1'
_symmetry_space_group_name_H-M 'P m -3 m'
_symmetry_Int_Tables_number 221
_symmetry_space_group_name_Hall '-P 4 2 3'
_cell_length_a 3.829
_cell_length_b 3.829
_cell_length_c 3.829
_cell_angle_alpha 90.00
_cell_angle_beta 90.00
_cell_angle_gamma 90.00
loop_
_atom_site_label
_atom_site_type_symbol
_atom_site_fract_x
_atom_site_fract_y
_atom_site_fract_z
Ce1 Ce 0.000 0.000 0.000
Hg1 Hg 0.500 0.500 0.500
```

For the formation enthalpy at 0 K, the calculation gives -285 meV per atom.